First-principles (GGA-PBE) data for NaMg6CO8 after structural relaxation, as listed in the Materials Project.

Calculated values
Magnetization = 0.03 μB per cell
E = -5.549 eV per atom
SG = P4/mmm (123)
Formation energy from the elements = -2.1593 eV per atom

Structure (POSCAR):
```
NaMg6CO8
1.0
-7.5056 1.6925 -3.6999
-1.5427 -3.6577 1.4564
-1.2964 1.9489 3.5214
Mg O Na C
6 8 1 1
direct
0.5000 0.5000 0.5000
0.2424 0.5000 0.0000
0.7576 0.5000 0.0000
0.7576 0.0000 0.5000
0.2424 0.0000 0.5000
0.5000 0.0000 0.0000
0.5000 0.0000 0.5000
0.0000 0.5000 0.0000
0.7368 0.0000 0.0000
0.2632 0.0000 0.0000
0.7710 0.5000 0.5000
0.5000 0.5000 0.0000
0.0000 0.0000 0.5000
0.2290 0.5000 0.5000
0.0000 0.0000 0.0000
0.0000 0.5000 0.5000
```

First-principles (GGA-PBE) data for K2TlAgF6 after structural relaxation, as listed in the Materials Project.

Calculated values
Magnetization = 0.00 μB per cell
E = -3.934 eV per atom
SG = Fm-3m (225)
Formation energy from the elements = -2.3212 eV per atom

Structure (POSCAR):
```
K2TlAgF6
1.0
3.0133 3.1807 4.7614
-2.5338 5.4729 2.3442
-2.5507 0.0974 5.9458
K Tl F Ag
2 1 6 1
direct
0.7500 0.7500 0.7500
0.2500 0.2500 0.2500
0.0000 0.0000 0.0000
0.7587 0.7587 0.2413
0.7587 0.2413 0.7587
0.2413 0.7587 0.7587
0.2413 0.2413 0.7587
0.2413 0.7587 0.2413
0.7587 0.2413 0.2413
0.5000 0.5000 0.5000
```

First-principles (GGA-PBE) data for K3Pt2S6O24 after structural relaxation, as listed in the Materials Project.

Calculated values
Magnetization = 6.01 μB per cell
E = -5.768 eV per atom
SG = C2/c (15)
Formation energy from the elements = -1.6953 eV per atom

Structure (POSCAR):
```
K3Pt2S6O24
1.0
4.9114 9.2439 0.0000
-4.9114 9.2439 0.0000
0.0000 3.8142 12.3230
Pt O S K
4 48 12 6
direct
0.0578 0.5501 0.0414
0.4499 0.9422 0.4586
0.5501 0.0578 0.5414
0.9422 0.4499 0.9586
0.6232 0.1585 0.6221
0.2435 0.1286 0.1186
0.8421 0.7018 0.1113
0.9194 0.6109 0.8256
0.1286 0.2435 0.6186
0.0325 0.7118 0.9093
0.7018 0.8421 0.6113
0.5640 0.8238 0.1230
0.8820 0.1190 0.8910
0.3426 0.6399 0.3570
0.7171 0.5634 0.2272
0.1762 0.4360 0.3770
0.3891 0.0806 0.6744
0.7107 0.2780 0.0360
0.4360 0.1762 0.8770
0.8415 0.3768 0.8779
0.3989 0.2729 0.4712
0.9675 0.2882 0.0907
0.2893 0.7220 0.9640
0.6109 0.9194 0.3256
0.5634 0.7171 0.7272
0.2729 0.3989 0.9712
0.8238 0.5640 0.6230
0.1585 0.6232 0.1221
0.8714 0.7565 0.3814
0.7220 0.2893 0.4640
0.9731 0.8089 0.7269
0.2829 0.4366 0.7728
0.7565 0.8714 0.8814
0.3601 0.6574 0.1430
0.2982 0.1579 0.3887
0.7271 0.6011 0.0288
0.8089 0.9731 0.2269
0.1579 0.2982 0.8887
0.6399 0.3426 0.8570
0.0269 0.1911 0.2731
0.7118 0.0325 0.4093
0.1180 0.8810 0.1090
0.1190 0.8820 0.3910
0.6574 0.3601 0.6430
0.2780 0.7107 0.5360
0.3768 0.8415 0.3779
0.2882 0.9675 0.5907
0.6011 0.7271 0.5288
0.8810 0.1180 0.6090
0.4366 0.2829 0.2728
0.0806 0.3891 0.1744
0.1911 0.0269 0.7731
0.6728 0.7065 0.6291
0.2780 0.7697 0.4196
0.2372 0.0883 0.6667
0.7697 0.2780 0.9196
0.7628 0.9117 0.3333
0.0883 0.2372 0.1667
0.9117 0.7628 0.8333
0.2303 0.7220 0.0804
0.2935 0.3272 0.8709
0.7065 0.6728 0.1291
0.7220 0.2303 0.5804
0.3272 0.2935 0.3709
0.1081 0.5461 0.5896
0.4539 0.8919 0.9104
0.3048 0.6952 0.7500
0.8919 0.4539 0.4104
0.6952 0.3048 0.2500
0.5461 0.1081 0.0896
```